# Mg6NbBiO8, optimized geometry, DFT GGA-PBE
data_Mg6NbBiO8
_chemical_formula_sum 'Mg6 Nb1 Bi1 O8'
_symmetry_space_group_name_H-M 'P 4/m m m'
_symmetry_Int_Tables_number 123
_symmetry_space_group_name_Hall '-P 4 2'
_cell_length_a 4.588
_cell_length_b 4.588
_cell_length_c 8.898
_cell_angle_alpha 90.00
_cell_angle_beta 90.00
_cell_angle_gamma 90.00
loop_
_atom_site_label
_atom_site_type_symbol
_atom_site_fract_x
_atom_site_fract_y
_atom_site_fract_z
_atom_site_occupancy
Mg1 Mg 0.000 0.000 0.000 1
Mg2 Mg 0.000 0.500 0.233 1
Mg3 Mg 0.500 0.500 0.000 1
Nb1 Nb 0.000 0.000 0.500 1
Bi1 Bi 0.500 0.500 0.500 1
O1 O 0.000 0.000 0.235 1
O2 O 0.000 0.500 0.000 1
O3 O 0.000 0.500 0.500 1
O4 O 0.500 0.500 0.225 1
# **Relative energy among the computed polymorphs**: 0 meV per atom
# **Theoretical density**: 5.10 g/cm3
# **Energy of formation**: -2287 meV per atom

---

# Cs2Ba3P4O14, optimized geometry, DFT GGA-PBE
data_Cs2Ba3P4O14
_chemical_formula_sum 'Cs8 Ba12 P16 O56'
_symmetry_space_group_name_H-M 'P 21 21 21'
_symmetry_Int_Tables_number 19
_symmetry_space_group_name_Hall 'P 2ac 2ab'
_cell_length_a 9.130
_cell_length_b 9.790
_cell_length_c 19.051
_cell_angle_alpha 90.00
_cell_angle_beta 90.00
_cell_angle_gamma 90.00
loop_
_atom_site_label
_atom_site_type_symbol
_atom_site_fract_x
_atom_site_fract_y
_atom_site_fract_z
_atom_site_occupancy
Cs1 Cs 0.082 0.192 0.129 1
Cs2 Cs 0.231 0.667 0.829 1
Ba1 Ba 0.065 0.031 0.507 1
Ba2 Ba 0.084 0.150 0.885 1
Ba3 Ba 0.249 0.669 0.162 1
P1 P 0.019 0.872 0.010 1
P2 P 0.104 0.959 0.714 1
P3 P 0.121 0.955 0.295 1
P4 P 0.213 0.590 0.495 1
O1 O 0.007 0.485 0.726 1
O2 O 0.033 0.490 0.230 1
O3 O 0.034 0.305 0.558 1
O4 O 0.045 0.766 0.068 1
O5 O 0.087 0.818 0.681 1
O6 O 0.113 0.075 0.661 1
O7 O 0.113 0.714 0.505 1
O8 O 0.117 0.465 0.459 1
O9 O 0.144 0.974 0.999 1
O10 O 0.148 0.990 0.373 1
O11 O 0.167 0.390 0.939 1
O12 O 0.175 0.810 0.279 1
O13 O 0.224 0.464 0.064 1
O14 O 0.232 0.058 0.251 1
# **Theoretical density**: 4.00 g/cm3
# **Energy of formation**: -3044 meV per atom

---

# K2CdH4Se2O10, optimized geometry, DFT GGA-PBE
data_K2CdH4Se2O10
_chemical_formula_sum 'K4 Cd2 H8 Se4 O20'
_symmetry_space_group_name_H-M 'P -1'
_symmetry_Int_Tables_number 2
_symmetry_space_group_name_Hall '-P 1'
_cell_length_a 6.709
_cell_length_b 7.700
_cell_length_c 11.591
_cell_angle_alpha 72.15
_cell_angle_beta 74.46
_cell_angle_gamma 70.04
loop_
_atom_site_label
_atom_site_type_symbol
_atom_site_fract_x
_atom_site_fract_y
_atom_site_fract_z
_atom_site_occupancy
K1 K 0.202 0.252 0.099 1
K2 K 0.270 0.733 0.421 1
Cd1 Cd 0.248 0.026 0.751 1
H1 H 0.169 0.415 0.708 1
H2 H 0.302 0.639 0.843 1
H3 H 0.337 0.689 0.698 1
H4 H 0.353 0.334 0.793 1
Se1 Se 0.261 0.769 0.075 1
Se2 Se 0.263 0.235 0.416 1
O1 O 0.045 0.397 0.369 1
O2 O 0.121 0.651 0.046 1
O3 O 0.122 0.879 0.191 1
O4 O 0.181 0.095 0.552 1
O5 O 0.230 0.720 0.773 1
O6 O 0.305 0.316 0.724 1
O7 O 0.320 0.939 0.951 1
O8 O 0.379 0.093 0.315 1
O9 O 0.439 0.337 0.426 1
O10 O 0.495 0.625 0.116 1
# **Theoretical density**: 3.23 g/cm3
# **Energy of formation**: -1498 meV per atom

---

# USeS, optimized geometry, DFT GGA-PBE
data_USeS
_chemical_formula_sum 'U4 Se4 S4'
_symmetry_space_group_name_H-M 'P n m a'
_symmetry_Int_Tables_number 62
_symmetry_space_group_name_Hall '-P 2ac 2n'
_cell_length_a 7.317
_cell_length_b 4.080
_cell_length_c 8.668
_cell_angle_alpha 90.00
_cell_angle_beta 90.00
_cell_angle_gamma 90.00
loop_
_atom_site_label
_atom_site_type_symbol
_atom_site_fract_x
_atom_site_fract_y
_atom_site_fract_z
_atom_site_occupancy
U1 U 0.227 0.250 0.127 1
Se1 Se 0.030 0.750 0.336 1
S1 S 0.145 0.750 0.930 1
# **Relative energy among the computed polymorphs**: 0 meV per atom
# **Theoretical density**: 8.96 g/cm3
# **Energy of formation**: -1463 meV per atom

---

# La2Ti2O5, optimized geometry, DFT GGA-PBE
data_La2Ti2O5
_chemical_formula_sum 'La8 Ti8 O20'
_symmetry_space_group_name_H-M 'I m a 2'
_symmetry_Int_Tables_number 46
_symmetry_space_group_name_Hall 'I 2 -2a'
_cell_length_a 15.831
_cell_length_b 5.590
_cell_length_c 5.540
_cell_angle_alpha 90.00
_cell_angle_beta 90.00
_cell_angle_gamma 90.00
loop_
_atom_site_label
_atom_site_type_symbol
_atom_site_fract_x
_atom_site_fract_y
_atom_site_fract_z
_atom_site_occupancy
La1 La 0.125 0.001 0.000 1
Ti1 Ti 0.000 0.000 0.500 1
Ti2 Ti 0.250 0.512 0.994 1
O1 O 0.012 0.249 0.750 1
O2 O 0.127 0.547 0.998 1
O3 O 0.250 0.236 0.230 1
# **Theoretical density**: 6.14 g/cm3
# **Energy of formation**: -3318 meV per atom

---

# Fe3Cu, optimized geometry, DFT GGA-PBE
data_Fe3Cu
_chemical_formula_sum 'Fe6 Cu2'
_symmetry_space_group_name_H-M 'I 4/m m m'
_symmetry_Int_Tables_number 139
_symmetry_space_group_name_Hall '-I 4 2'
_cell_length_a 3.620
_cell_length_b 3.620
_cell_length_c 7.212
_cell_angle_alpha 90.00
_cell_angle_beta 90.00
_cell_angle_gamma 90.00
loop_
_atom_site_label
_atom_site_type_symbol
_atom_site_fract_x
_atom_site_fract_y
_atom_site_fract_z
_atom_site_occupancy
Fe1 Fe 0.000 0.000 0.000 1
Fe2 Fe 0.000 0.500 0.250 1
Cu1 Cu 0.000 0.000 0.500 1
# **Theoretical density**: 8.12 g/cm3
# **Energy of formation**: 132 meV per atom

---

# DyB2C, optimized geometry, DFT GGA-PBE
data_DyB2C
_chemical_formula_sum 'Dy8 B16 C8'
_symmetry_space_group_name_H-M 'P 42/m b c'
_symmetry_Int_Tables_number 135
_symmetry_space_group_name_Hall '-P 4c 2ab'
_cell_length_a 6.794
_cell_length_b 6.794
_cell_length_c 7.479
_cell_angle_alpha 90.00
_cell_angle_beta 90.00
_cell_angle_gamma 90.00
loop_
_atom_site_label
_atom_site_type_symbol
_atom_site_fract_x
_atom_site_fract_y
_atom_site_fract_z
_atom_site_occupancy
Dy1 Dy 0.190 0.310 0.250 1
B1 B 0.035 0.848 0.000 1
B2 B 0.095 0.597 0.000 1
C1 C 0.040 0.823 0.500 1
# **Theoretical density**: 7.55 g/cm3
# **Energy of formation**: -532 meV per atom

---

# Th3Cd, optimized geometry, DFT GGA-PBE
data_Th3Cd
_chemical_formula_sum 'Th6 Cd2'
_symmetry_space_group_name_H-M 'I 4/m m m'
_symmetry_Int_Tables_number 139
_symmetry_space_group_name_Hall '-I 4 2'
_cell_length_a 4.898
_cell_length_b 4.898
_cell_length_c 10.121
_cell_angle_alpha 90.00
_cell_angle_beta 90.00
_cell_angle_gamma 90.00
loop_
_atom_site_label
_atom_site_type_symbol
_atom_site_fract_x
_atom_site_fract_y
_atom_site_fract_z
_atom_site_occupancy
Th1 Th 0.000 0.000 0.000 1
Th2 Th 0.000 0.500 0.250 1
Cd1 Cd 0.000 0.000 0.500 1
# **Theoretical density**: 11.06 g/cm3
# **Energy of formation**: -11 meV per atom

---

# Sr3P, optimized geometry, DFT GGA-PBE
data_Sr3P
_chemical_formula_sum 'Sr6 P2'
_symmetry_space_group_name_H-M 'P 63/m m c'
_symmetry_Int_Tables_number 194
_symmetry_space_group_name_Hall '-P 6c 2c'
_cell_length_a 7.5341
_cell_length_b 7.5341
_cell_length_c 5.4805
_cell_angle_alpha 90.00
_cell_angle_beta 90.00
_cell_angle_gamma 120.00
loop_
_atom_site_label
_atom_site_type_symbol
_atom_site_fract_x
_atom_site_fract_y
_atom_site_fract_z
_atom_site_occupancy
Sr1 Sr 0.1793 0.3586 0.2500 1
P1 P 0.3333 0.6667 0.7500 1
# **Theoretical density**: 3.62 g/cm3
# **Energy of formation**: -199 meV per atom

---

# Rh3Se8, optimized geometry, DFT GGA-PBE
data_Rh3Se8
_chemical_formula_sum 'Rh6 Se16'
_symmetry_space_group_name_H-M 'P 1 21/c 1'
_symmetry_Int_Tables_number 14
_symmetry_space_group_name_Hall '-P 2ybc'
_cell_length_a 6.054
_cell_length_b 6.056
_cell_length_c 13.490
_cell_angle_alpha 90.00
_cell_angle_beta 115.85
_cell_angle_gamma 90.00
loop_
_atom_site_label
_atom_site_type_symbol
_atom_site_fract_x
_atom_site_fract_y
_atom_site_fract_z
_atom_site_occupancy
Rh1 Rh 0.000 0.000 0.000 1
Rh2 Rh 0.243 0.007 0.749 1
Se1 Se 0.174 0.117 0.557 1
Se2 Se 0.189 0.116 0.310 1
Se3 Se 0.308 0.617 0.692 1
Se4 Se 0.327 0.615 0.441 1
# **Relative energy among the computed polymorphs**: 6 meV per atom
# **Theoretical density**: 7.02 g/cm3
# **Energy of formation**: -720 meV per atom

---

# HgPb2Cl2O2, optimized geometry, DFT GGA-PBE
data_HgPb2Cl2O2
_chemical_formula_sum 'Hg2 Pb4 Cl4 O4'
_symmetry_space_group_name_H-M 'C 1 2/m 1'
_symmetry_Int_Tables_number 12
_symmetry_space_group_name_Hall '-C 2y'
_cell_length_a 11.984
_cell_length_b 3.993
_cell_length_c 7.911
_cell_angle_alpha 90.00
_cell_angle_beta 122.46
_cell_angle_gamma 90.00
loop_
_atom_site_label
_atom_site_type_symbol
_atom_site_fract_x
_atom_site_fract_y
_atom_site_fract_z
_atom_site_occupancy
Hg1 Hg 0.000 0.000 0.000 1
Pb1 Pb 0.183 0.000 0.755 1
Cl1 Cl 0.067 0.500 0.334 1
O1 O 0.193 0.000 0.067 1
# **Theoretical density**: 7.47 g/cm3
# **Energy of formation**: -1182 meV per atom

---

# TeMo2SeS2, optimized geometry, DFT GGA-PBE
data_TeMo2SeS2
_chemical_formula_sum 'Te2 Mo4 Se2 S4'
_symmetry_space_group_name_H-M 'P 3 m 1'
_symmetry_Int_Tables_number 156
_symmetry_space_group_name_Hall 'P 3 -2"'
_cell_length_a 3.3091
_cell_length_b 3.3091
_cell_length_c 37.5838
_cell_angle_alpha 90.00
_cell_angle_beta 90.00
_cell_angle_gamma 120.00
loop_
_atom_site_label
_atom_site_type_symbol
_atom_site_fract_x
_atom_site_fract_y
_atom_site_fract_z
_atom_site_occupancy
Te1 Te 0.0000 0.0000 0.0000 1
Te2 Te 0.0000 0.0000 0.1016 1
Mo1 Mo 0.0000 0.0000 0.4871 1
Mo2 Mo 0.0000 0.0000 0.8629 1
Mo3 Mo 0.3333 0.6667 0.0508 1
Mo4 Mo 0.3333 0.6667 0.6750 1
Se1 Se 0.3333 0.6667 0.8182 1
Se2 Se 0.3333 0.6667 0.9075 1
S1 S 0.0000 0.0000 0.6343 1
S2 S 0.0000 0.0000 0.7157 1
S3 S 0.3333 0.6667 0.4465 1
S4 S 0.3333 0.6667 0.5278 1
# **Theoretical density**: 4.31 g/cm3
# **Energy of formation**: -784 meV per atom

---

# CeFeCo, optimized geometry, DFT GGA-PBE
data_CeFeCo
_chemical_formula_sum 'Ce4 Fe4 Co4'
_symmetry_space_group_name_H-M 'I m m a'
_symmetry_Int_Tables_number 74
_symmetry_space_group_name_Hall '-I 2b 2'
_cell_length_a 4.909
_cell_length_b 5.203
_cell_length_c 7.153
_cell_angle_alpha 90.00
_cell_angle_beta 90.00
_cell_angle_gamma 90.00
loop_
_atom_site_label
_atom_site_type_symbol
_atom_site_fract_x
_atom_site_fract_y
_atom_site_fract_z
_atom_site_occupancy
Ce1 Ce 0.000 0.250 0.125 1
Fe1 Fe 0.250 0.250 0.750 1
Co1 Co 0.000 0.000 0.500 1
# **Theoretical density**: 9.27 g/cm3
# **Energy of formation**: -162 meV per atom

---

# Rb2CeAgI6, optimized geometry, DFT GGA-PBE
data_Rb2CeAgI6
_chemical_formula_sum 'Rb8 Ce4 Ag4 I24'
_symmetry_space_group_name_H-M 'F m -3 m'
_symmetry_Int_Tables_number 225
_symmetry_space_group_name_Hall '-F 4 2 3'
_cell_length_a 12.321
_cell_length_b 12.321
_cell_length_c 12.321
_cell_angle_alpha 90.00
_cell_angle_beta 90.00
_cell_angle_gamma 90.00
loop_
_atom_site_label
_atom_site_type_symbol
_atom_site_fract_x
_atom_site_fract_y
_atom_site_fract_z
_atom_site_occupancy
Rb1 Rb 0.250 0.250 0.250 1
Ce1 Ce 0.000 0.000 0.000 1
Ag1 Ag 0.000 0.000 0.500 1
I1 I 0.000 0.000 0.253 1
# **Theoretical density**: 4.19 g/cm3
# **Energy of formation**: -1405 meV per atom

---

# Gd3AlC, optimized geometry, DFT GGA-PBE
data_Gd3AlC
_chemical_formula_sum 'Gd3 Al1 C1'
_symmetry_space_group_name_H-M 'P m -3 m'
_symmetry_Int_Tables_number 221
_symmetry_space_group_name_Hall '-P 4 2 3'
_cell_length_a 4.943
_cell_length_b 4.943
_cell_length_c 4.943
_cell_angle_alpha 90.00
_cell_angle_beta 90.00
_cell_angle_gamma 90.00
loop_
_atom_site_label
_atom_site_type_symbol
_atom_site_fract_x
_atom_site_fract_y
_atom_site_fract_z
_atom_site_occupancy
Gd1 Gd 0.000 0.000 0.500 1
Al1 Al 0.500 0.500 0.500 1
C1 C 0.000 0.000 0.000 1
# **Theoretical density**: 7.02 g/cm3
# **Energy of formation**: -341 meV per atom

---

# CrFe3As4, optimized geometry, DFT GGA-PBE
data_CrFe3As4
_chemical_formula_sum 'Cr1 Fe3 As4'
_symmetry_space_group_name_H-M 'P 1 m 1'
_symmetry_Int_Tables_number 6
_symmetry_space_group_name_Hall 'P -2y'
_cell_length_a 5.384
_cell_length_b 3.454
_cell_length_c 6.038
_cell_angle_alpha 90.00
_cell_angle_beta 90.08
_cell_angle_gamma 90.00
loop_
_atom_site_label
_atom_site_type_symbol
_atom_site_fract_x
_atom_site_fract_y
_atom_site_fract_z
_atom_site_occupancy
Cr1 Cr 0.000 0.000 0.000 1
Fe1 Fe 0.006 0.500 0.604 1
Fe2 Fe 0.506 0.000 0.090 1
Fe3 Fe 0.506 0.500 0.500 1
As1 As 0.210 0.500 0.221 1
As2 As 0.309 0.000 0.709 1
As3 As 0.691 0.500 0.873 1
As4 As 0.795 0.000 0.385 1
# **Theoretical density**: 7.68 g/cm3
# **Energy of formation**: -195 meV per atom

---

Calculated values (eV per atom) of raw total energy for the records, taken in order: -5.892 -6.907 -4.989 -7.603 -8.536 -7.245 -7.330 -5.802 -2.820 -4.928 -4.031 -6.717 -7.332 -3.164 -11.381 -6.907.